Model a:
DFT (PBE-GGA) results for a relaxed Mg5Si9 crystal.

a = 6.890 Å, b = 7.461 Å, c = 12.642 Å
α = 83.83°, β = 77.66°, γ = 60.26°
Positions (direct):
Si 0.211 0.205 0.271
Si 0.151 0.344 0.897
Si 0.020 0.187 0.140
Si 0.519 0.213 0.931
Mg 0.484 0.052 0.722
Si 0.143 0.497 0.723
Si 0.143 0.586 0.427
Si 0.852 0.192 0.330
Mg 0.225 0.904 0.435
Si 0.186 0.807 0.708
Si 0.095 0.911 0.031
Mg 0.035 0.340 0.567
Si 0.583 0.937 0.284
Mg 0.606 0.233 0.129
Mg 0.492 0.594 0.942
Mg 0.736 0.939 0.470
Si 0.100 0.057 0.852
Si 0.744 0.605 0.744
Si 0.762 0.272 0.783
Si 0.901 0.739 0.143
Si 0.546 0.722 0.594
Mg 0.841 0.812 0.890
Mg 0.782 0.565 0.375
Si 0.847 0.511 0.047
Mg 0.418 0.763 0.170
Mg 0.490 0.409 0.535
Si 0.878 0.074 0.622
Si 0.210 0.530 0.239

Calculated volume = 276 Å³/f.u.

Model b:
DFT (PBE-GGA) results for a relaxed Mg5Si9 crystal.

a = 6.646 Å, b = 6.761 Å, c = 13.276 Å
α = 85.92°, β = 102.18°, γ = 113.87°
Positions (direct):
Si 0.827 0.285 0.211
Si 0.170 0.295 0.696
Si 0.989 0.893 0.364
Mg 0.067 0.270 0.884
Si 0.323 0.080 0.302
Mg 0.983 0.568 0.051
Si 0.729 0.869 0.202
Si 0.785 0.421 0.728
Mg 0.236 0.706 0.529
Si 0.773 0.806 0.864
Si 0.903 0.113 0.066
Mg 0.548 0.132 0.872
Mg 0.799 0.715 0.559
Mg 0.748 0.470 0.366
Mg 0.686 0.026 0.410
Si 0.072 0.744 0.809
Si 0.225 0.972 0.674
Si 0.617 0.498 0.138
Si 0.341 0.737 0.236
Si 0.336 0.737 0.959
Si 0.535 0.507 0.954
Si 0.528 0.584 0.704
Si 0.869 0.332 0.569
Mg 0.364 0.062 0.084
Mg 0.657 0.003 0.682
Si 0.242 0.348 0.190
Mg 0.220 0.230 0.494
Si 0.430 0.597 0.402

Calculated volume = 267 Å³/f.u.

Stability, highest: model a

Model a:
DFT (PBE-GGA) results for a relaxed OsN2 crystal.

a = 4.936 Å, b = 4.944 Å, c = 4.976 Å
α = 67.09°, β = 90.00°, γ = 90.00°
Positions (direct):
Os 0.499 0.765 0.725
Os 0.501 0.235 0.275
N 0.097 0.192 0.193
N 0.906 0.321 0.324
Os 0.999 0.235 0.775
N 0.406 0.679 0.176
N 0.094 0.679 0.676
N 0.597 0.808 0.307
Os 0.001 0.765 0.225
N 0.903 0.808 0.807
N 0.594 0.321 0.824
N 0.403 0.192 0.693

Calculated volume = 28 Å³/f.u.

Model b:
DFT (PBE-GGA) results for a relaxed OsN2 crystal.

a = 3.035 Å, b = 3.035 Å, c = 7.433 Å
α = 90.00°, β = 90.00°, γ = 120.00°
Positions (direct):
Os 0.333 0.667 0.750
N 0.000 0.000 0.912
N 0.000 0.000 0.412
Os 0.667 0.333 0.250
N 0.000 0.000 0.088
N 0.000 0.000 0.588

Calculated volume = 30 Å³/f.u.

Stability, highest: model a